(1)
# Hf2Bi2O7

A relaxed Hf2Bi2O7 crystal (meta-GGA r2SCAN, the Materials Project database).

Cell lengths 7.608, 7.608, 7.637 Å; angles 59.99, 59.99, 89.74 degrees
Positions (direct):
Hf 0.623 0.878 0.250
Hf 0.122 0.877 0.751
Hf 0.123 0.878 0.249
Hf 0.122 0.377 0.750
Bi 0.664 0.432 0.694
Bi 0.123 0.369 0.205
Bi 0.631 0.877 0.795
Bi 0.568 0.336 0.306
O 0.812 0.188 0.000
O 0.493 0.507 0.000
O 0.217 0.207 0.595
O 0.442 0.920 0.110
O 0.187 0.204 0.017
O 0.444 0.973 0.473
O 0.460 0.540 0.500
O 0.037 0.963 0.500
O 0.743 0.257 0.500
O 0.027 0.556 0.527
O 0.796 0.813 0.983
O 0.080 0.558 0.890
O 0.793 0.783 0.405
O 0.186 0.814 0.000

Values from the calculation:
- energy of formation (eV per formula unit) = -30.0
- spin magnetization (μB/cell) = 0.000
- symmetry = C2 (5)
- calculated total energy (Ry/atom) = -1.8646


(2)
# Ho5Ge10Os4

A relaxed Ho5Ge10Os4 crystal (meta-GGA r2SCAN, the Materials Project database).

Cell lengths 12.995, 12.995, 4.287 Å; angles 90.00, 90.00, 90.00 degrees
Positions (direct):
Ho 0.500 0.500 0.000
Ho 0.000 0.000 0.000
Ho 0.672 0.172 0.500
Ho 0.328 0.828 0.500
Ho 0.172 0.328 0.500
Ho 0.828 0.672 0.500
Ho 0.882 0.382 0.500
Ho 0.118 0.618 0.500
Ho 0.382 0.118 0.500
Ho 0.618 0.882 0.500
Ge 0.568 0.068 0.000
Ge 0.432 0.932 0.000
Ge 0.068 0.432 0.000
Ge 0.932 0.568 0.000
Ge 0.665 0.699 0.000
Ge 0.335 0.301 0.000
Ge 0.165 0.801 0.000
Ge 0.835 0.199 0.000
Ge 0.301 0.665 0.000
Ge 0.699 0.335 0.000
Ge 0.199 0.165 0.000
Ge 0.801 0.835 0.000
Ge 0.658 0.508 0.500
Ge 0.342 0.492 0.500
Ge 0.158 0.992 0.500
Ge 0.842 0.008 0.500
Ge 0.492 0.658 0.500
Ge 0.508 0.342 0.500
Ge 0.008 0.158 0.500
Ge 0.992 0.842 0.500
Os 0.747 0.519 0.000
Os 0.253 0.481 0.000
Os 0.247 0.981 0.000
Os 0.753 0.019 0.000
Os 0.481 0.747 0.000
Os 0.519 0.253 0.000
Os 0.019 0.247 0.000
Os 0.981 0.753 0.000

Values from the calculation:
- energy of formation (eV per formula unit) = -11.6
- spin magnetization (μB/cell) = 0.000
- symmetry = P4/mbm (127)
- calculated total energy (Ry/atom) = -2.0374


(3)
# Cs3LaBr6

A relaxed Cs3LaBr6 crystal (meta-GGA r2SCAN, the Materials Project database).

Cell lengths 14.989, 14.989, 13.957 Å; angles 81.21, 81.21, 33.86 degrees
Positions (direct):
Cs 0.163 0.526 0.646
Cs 0.474 0.837 0.854
Cs 0.837 0.474 0.354
Cs 0.526 0.163 0.146
Cs 0.669 0.233 0.426
Cs 0.767 0.331 0.074
Cs 0.331 0.767 0.574
Cs 0.233 0.669 0.926
Cs 0.341 0.981 0.200
Cs 0.019 0.659 0.300
Cs 0.659 0.019 0.800
Cs 0.981 0.341 0.700
La 0.500 0.000 0.500
La 0.000 0.500 0.000
La 0.199 0.801 0.250
La 0.801 0.199 0.750
Br 0.374 0.284 0.419
Br 0.716 0.626 0.081
Br 0.626 0.716 0.581
Br 0.284 0.374 0.919
Br 0.494 0.627 0.321
Br 0.373 0.506 0.179
Br 0.506 0.373 0.679
Br 0.627 0.494 0.821
Br 0.785 0.867 0.534
Br 0.133 0.215 0.966
Br 0.215 0.133 0.466
Br 0.867 0.785 0.034
Br 0.361 0.139 0.693
Br 0.861 0.639 0.807
Br 0.639 0.861 0.307
Br 0.139 0.361 0.193
Br 0.171 0.714 0.441
Br 0.286 0.829 0.059
Br 0.829 0.286 0.559
Br 0.714 0.171 0.941
Br 0.007 0.115 0.296
Br 0.885 0.993 0.204
Br 0.993 0.885 0.704
Br 0.115 0.007 0.796

Values from the calculation:
- energy of formation (eV per formula unit) = -21.8
- spin magnetization (μB/cell) = 0.000
- symmetry = C2/c (15)
- calculated total energy (Ry/atom) = -1.5171


(4)
# Ni10Sn5P3

A relaxed Ni10Sn5P3 crystal (meta-GGA r2SCAN, the Materials Project database).

Cell lengths 6.386, 8.292, 10.237 Å; angles 73.55, 84.42, 82.89 degrees
Positions (direct):
Ni 0.713 0.272 0.200
Ni 0.657 0.603 0.694
Ni 0.863 0.137 0.624
Ni 0.578 0.918 0.706
Ni 0.144 0.351 0.549
Ni 0.941 0.569 0.873
Ni 0.287 0.728 0.800
Ni 0.269 0.212 0.963
Ni 0.343 0.397 0.306
Ni 0.137 0.863 0.376
Ni 0.500 0.500 0.500
Ni 0.057 0.704 0.203
Ni 0.943 0.296 0.797
Ni 0.397 0.608 0.069
Ni 0.422 0.082 0.294
Ni 0.856 0.649 0.451
Ni 0.731 0.788 0.037
Ni 0.000 0.000 0.000
Ni 0.059 0.431 0.127
Ni 0.603 0.392 0.931
Sn 0.351 0.912 0.131
Sn 0.205 0.050 0.759
Sn 0.795 0.950 0.241
Sn 0.532 0.182 0.498
Sn 0.649 0.088 0.869
Sn 0.468 0.818 0.502
Sn 0.298 0.449 0.742
Sn 0.035 0.182 0.372
Sn 0.965 0.818 0.628
Sn 0.702 0.551 0.258
P 0.076 0.718 0.984
P 0.393 0.316 0.114
P 0.924 0.282 0.016
P 0.197 0.593 0.399
P 0.607 0.684 0.886
P 0.803 0.407 0.601

Values from the calculation:
- energy of formation (eV per formula unit) = -6.5
- spin magnetization (μB/cell) = 0.000
- symmetry = P-1 (2)
- calculated total energy (Ry/atom) = -1.1313


(5)
# BaCa3

A relaxed BaCa3 crystal (meta-GGA r2SCAN, the Materials Project database).

Cell lengths 6.456, 6.456, 6.456 Å; angles 120.12, 120.12, 89.80 degrees
Positions (direct):
Ba 0.000 0.000 0.000
Ca 0.750 0.250 0.500
Ca 0.250 0.750 0.500
Ca 0.500 0.500 0.000

Values from the calculation:
- energy of formation (eV per formula unit) = 0.2
- spin magnetization (μB/cell) = 0.000
- symmetry = I4/mmm (139)
- calculated total energy (Ry/atom) = -0.8718


(6)
# ZrVMo

A relaxed ZrVMo crystal (meta-GGA r2SCAN, the Materials Project database).

Cell lengths 5.276, 5.276, 5.276 Å; angles 120.53, 119.03, 90.39 degrees
Positions (direct):
Zr 0.375 0.125 0.250
Zr 0.625 0.875 0.750
V 0.500 0.500 0.000
V 0.000 0.500 0.500
Mo 0.000 0.500 0.000
Mo 0.000 0.000 0.500

Values from the calculation:
- energy of formation (eV per formula unit) = -0.3
- spin magnetization (μB/cell) = 0.000
- symmetry = Imma (74)
- calculated total energy (Ry/atom) = -1.5491


(7)
# RbW3Br7

A relaxed RbW3Br7 crystal (meta-GGA r2SCAN, the Materials Project database).

Cell lengths 13.006, 13.006, 9.955 Å; angles 69.49, 69.49, 74.41 degrees
Positions (direct):
Rb 0.432 0.568 0.250
Rb 0.568 0.432 0.750
Rb 0.000 0.000 0.000
Rb 0.000 0.000 0.500
W 0.046 0.347 0.054
W 0.653 0.954 0.446
W 0.954 0.653 0.946
W 0.347 0.046 0.554
W 0.067 0.513 0.130
W 0.487 0.933 0.370
W 0.933 0.487 0.870
W 0.513 0.067 0.630
W 0.868 0.484 0.153
W 0.516 0.132 0.347
W 0.132 0.516 0.847
W 0.484 0.868 0.653
Br 0.847 0.315 0.076
Br 0.685 0.153 0.424
Br 0.153 0.685 0.924
Br 0.315 0.847 0.576
Br 0.888 0.650 0.230
Br 0.350 0.112 0.270
Br 0.112 0.350 0.770
Br 0.650 0.888 0.730
Br 0.247 0.375 0.030
Br 0.625 0.753 0.470
Br 0.753 0.625 0.970
Br 0.375 0.247 0.530
Br 0.979 0.342 0.341
Br 0.658 0.021 0.159
Br 0.021 0.658 0.659
Br 0.342 0.979 0.841
Br 0.113 0.129 0.133
Br 0.871 0.887 0.367
Br 0.887 0.871 0.867
Br 0.129 0.113 0.633
Br 0.160 0.531 0.312
Br 0.469 0.840 0.188
Br 0.840 0.469 0.688
Br 0.531 0.160 0.812
Br 0.679 0.462 0.367
Br 0.538 0.321 0.133
Br 0.321 0.538 0.633
Br 0.462 0.679 0.867

Values from the calculation:
- energy of formation (eV per formula unit) = -9.3
- spin magnetization (μB/cell) = 0.000
- symmetry = C2/c (15)
- calculated total energy (Ry/atom) = -1.8049


(8)
# TlBSe3

A relaxed TlBSe3 crystal (meta-GGA r2SCAN, the Materials Project database).

Cell lengths 6.207, 7.171, 7.161 Å; angles 109.15, 103.50, 113.48 degrees
Positions (direct):
Tl 0.931 0.453 0.343
Tl 0.087 0.110 0.656
B 0.350 0.773 0.046
B 0.805 0.727 0.954
Se 0.586 0.699 0.670
Se 0.416 0.027 0.331
Se 0.095 0.076 0.133
Se 0.462 0.943 0.868
Se 0.963 0.524 0.897
Se 0.566 0.627 0.103

Values from the calculation:
- energy of formation (eV per formula unit) = -1.5
- spin magnetization (μB/cell) = 0.000
- symmetry = P1 (1)
- calculated total energy (Ry/atom) = -1.5427